A relaxed structure of Li3ScF6, computed with GGA-PBE.

Its volume is 110.2 Å³/f.u. The space group is P-3c1, No. 165. For the energy above the lowest structure with this stoichiometry, the calculation gives 0 meV per atom. The value obtained for the corrected total energy (MP2020 scheme) is -59.7 eV per formula unit.

a b c (Å): 8.897 8.897 9.649
angles (deg): 90.00 90.00 120.00
Fractional positions:
Li: 0.000 0.301 0.250
Li: 0.000 0.699 0.750
Li: 0.020 0.361 0.963
Li: 0.020 0.660 0.463
Li: 0.301 0.000 0.250
Li: 0.301 0.301 0.750
Li: 0.340 0.361 0.463
Li: 0.340 0.980 0.963
Li: 0.361 0.020 0.537
Li: 0.361 0.340 0.037
Li: 0.639 0.660 0.963
Li: 0.639 0.980 0.463
Li: 0.660 0.020 0.037
Li: 0.660 0.639 0.537
Li: 0.699 0.000 0.750
Li: 0.699 0.699 0.250
Li: 0.980 0.340 0.537
Li: 0.980 0.639 0.037
Sc: 0.000 0.000 0.000
Sc: 0.000 0.000 0.500
Sc: 0.333 0.667 0.236
Sc: 0.333 0.667 0.736
Sc: 0.667 0.333 0.264
Sc: 0.667 0.333 0.764
F: 0.109 0.227 0.107
F: 0.109 0.882 0.607
F: 0.112 0.541 0.118
F: 0.112 0.571 0.618
F: 0.118 0.227 0.607
F: 0.118 0.891 0.107
F: 0.216 0.447 0.355
F: 0.216 0.769 0.855
F: 0.227 0.109 0.393
F: 0.227 0.118 0.893
F: 0.231 0.447 0.855
F: 0.231 0.784 0.355
F: 0.429 0.541 0.618
F: 0.429 0.888 0.118
F: 0.447 0.216 0.145
F: 0.447 0.231 0.645
F: 0.459 0.571 0.118
F: 0.459 0.888 0.618
F: 0.541 0.112 0.382
F: 0.541 0.429 0.882
F: 0.553 0.769 0.355
F: 0.553 0.784 0.855
F: 0.571 0.112 0.882
F: 0.571 0.459 0.382
F: 0.769 0.216 0.645
F: 0.769 0.553 0.145
F: 0.773 0.882 0.107
F: 0.773 0.891 0.607
F: 0.784 0.231 0.145
F: 0.784 0.553 0.645
F: 0.882 0.109 0.893
F: 0.882 0.773 0.393
F: 0.888 0.429 0.382
F: 0.888 0.459 0.882
F: 0.891 0.118 0.393
F: 0.891 0.773 0.893